1.
This record from Materials Project describes an optimized crystal structure of La10Mn9O30. The functional is PBE with a Hubbard U.

- total magnetic moment (μB/f.u.) = 33.0
- relative energy among the computed polymorphs (eV/f.u.) = 0.10
- corrected total energy (MP2020 scheme) (eV per atom) = -8.70
- DFT formation energy (eV per atom) = -2.98
- V (Å³/atom) = 12.5

The structure in POSCAR format:
```
La10Mn9O30
1.0
-9.453 0.627 5.657
-2.984 -15.456 22.726
-5.909 -3.389 16.854
La Mn O
20 18 60
Cartesian
-1.968 -3.103 7.529
-2.643 -6.229 12.179
-3.098 -9.393 16.708
-6.640 -2.937 10.539
-13.107 -11.745 27.002
-7.161 -5.944 14.774
-13.851 -14.906 31.702
-15.105 -8.898 28.512
-7.894 -9.129 19.449
-9.288 -3.049 16.602
-15.781 -12.024 33.162
-8.461 -12.079 24.089
-9.855 -5.998 21.242
-8.905 -15.204 28.618
-10.588 -9.183 25.918
-4.642 -3.383 13.690
-11.109 -12.191 30.153
-14.650 -5.735 23.983
-11.827 -15.380 34.799
-6.882 -15.678 31.715
-12.430 -14.831 28.390
-6.499 -6.523 21.372
-1.193 -6.182 9.090
-10.652 -3.065 19.645
-11.249 -8.605 19.319
-12.689 -2.591 16.351
-11.268 -6.190 24.228
-8.302 -15.753 35.027
-13.284 -5.710 20.919
-4.465 -9.417 19.773
-6.481 -8.937 16.464
-7.989 -2.887 13.543
-5.060 -12.537 24.341
-7.096 -12.062 21.046
-8.585 -6.010 18.043
-9.163 -9.118 22.648
-9.760 -12.241 27.148
-10.366 -15.292 31.709
-3.845 -1.789 6.868
-4.391 -3.370 9.039
-4.241 -4.636 11.417
-6.030 -1.090 8.259
-4.801 -6.479 13.658
-4.882 -7.921 16.009
-6.741 -4.133 12.879
-8.429 -1.461 9.657
-5.216 -4.997 15.878
-5.493 -9.612 18.125
-6.918 -2.744 15.223
-9.031 -3.091 11.802
-5.505 -10.977 20.581
-7.206 -7.339 17.409
-9.020 -4.472 14.260
-10.726 -1.005 11.096
-5.888 -8.096 20.387
-7.514 -4.493 17.338
-6.190 -12.719 22.647
-7.533 -5.858 19.779
-9.656 -6.188 16.367
-6.052 -14.052 25.096
-7.798 -10.469 22.025
-9.627 -7.571 18.756
-11.351 -3.952 15.702
-6.398 -11.175 24.989
-8.122 -7.557 21.935
-9.951 -4.658 18.666
-6.835 -15.690 27.081
-8.093 -8.939 24.325
-10.216 -9.269 20.912
-11.559 -2.409 18.044
-8.389 -13.488 26.518
-10.235 -10.634 23.354
-11.860 -7.031 20.304
-7.023 -14.122 29.595
-8.729 -10.655 26.432
-10.543 -7.789 23.283
-12.244 -4.151 20.111
-8.718 -12.036 28.889
-10.831 -12.384 25.469
-12.256 -5.516 22.567
-10.777 -13.779 27.891
-12.533 -10.131 24.813
-7.596 -17.387 34.150
-9.320 -13.666 31.034
-11.007 -10.994 27.812
-12.866 -7.206 24.682
-9.296 -15.160 33.386
-11.436 -15.424 30.031
-12.948 -8.648 27.033
-13.136 -13.197 29.268
-9.955 -16.805 35.526
-11.718 -14.037 32.432
-13.508 -10.491 29.275
-13.357 -11.757 31.652
-12.343 -17.095 36.899
-13.903 -13.339 33.824
-13.898 -14.894 36.336
-14.681 -16.532 38.321
```

***

2.
This record from Materials Project describes an optimized crystal structure of Na2Cr3O9. The functional is PBE with a Hubbard U.

- total magnetic moment (μB/f.u.) = 2.0
- corrected total energy (MP2020 scheme) (eV per atom) = -7.30
- DFT formation energy (eV per atom) = -1.86
- V (Å³/atom) = 13.3

The structure in POSCAR format:
```
Na2Cr3O9
1.0
0.000 5.935 0.000
0.056 0.000 7.838
8.012 0.000 -3.132
Na Cr O
4 6 18
Cartesian
0.761 4.451 0.955
7.308 1.484 3.750
2.023 4.451 5.349
6.046 1.484 -0.644
4.034 2.968 2.353
4.034 0.000 2.353
1.360 1.484 3.357
6.708 4.451 1.348
2.583 1.484 -0.475
5.486 4.451 5.181
2.394 2.853 3.443
5.674 5.821 1.263
5.674 3.082 1.263
2.394 0.114 3.443
1.698 2.823 7.188
6.371 5.791 -2.482
6.371 3.112 -2.482
1.698 0.145 7.188
3.376 1.484 1.143
4.693 4.451 3.562
3.306 4.451 1.474
4.762 1.484 3.232
0.489 1.484 1.978
7.579 4.451 2.727
0.361 1.484 4.635
7.707 4.451 0.071
3.797 1.484 6.237
4.271 4.451 -1.531
```

***

3.
This record from Materials Project describes an optimized crystal structure of Li9Mn2Co5O16. The functional is PBE with a Hubbard U.

- total magnetic moment (μB/f.u.) = 2.0
- relative energy among the computed polymorphs (eV/f.u.) = 4.07
- corrected total energy (MP2020 scheme) (eV per atom) = -6.43
- DFT formation energy (eV per atom) = -1.74
- V (Å³/atom) = 9.0

The structure in POSCAR format:
```
Li9Mn2Co5O16
1.0
-3.384 3.543 3.112
-2.810 -4.647 2.236
5.533 -0.364 6.430
Li Mn Co O
9 2 5 16
Cartesian
-0.126 -0.359 3.032
1.124 -2.845 7.221
1.075 1.590 4.771
-3.097 -0.552 2.674
-0.534 -1.109 8.746
-1.784 1.377 4.556
-1.405 -2.324 1.118
2.767 -0.182 3.215
-0.330 -0.734 5.889
0.000 0.000 0.000
-1.692 1.771 1.556
1.362 -2.505 4.333
-1.509 -2.642 4.149
2.493 -0.548 6.116
0.849 1.174 7.629
-3.154 -0.920 5.661
4.064 -0.546 7.692
-0.108 -2.767 5.502
-3.040 -2.940 5.453
1.173 -0.718 7.504
-1.948 -0.840 7.194
2.338 1.261 9.279
2.632 -2.578 5.797
-1.463 -4.616 3.665
1.288 -0.627 4.583
-2.998 -2.729 2.498
2.380 1.472 6.324
-1.833 -0.750 4.273
-4.724 -0.922 4.086
-0.552 1.300 6.276
0.091 -2.433 2.869
4.186 -0.395 5.001
```

***

4.
This record from Materials Project describes an optimized crystal structure of Sr6Li2Cr2N8O. The functional is PBE with a Hubbard U.

- total magnetic moment (μB/f.u.) = 0.0
- corrected total energy (MP2020 scheme) (eV per atom) = -6.37
- DFT formation energy (eV per atom) = -0.85
- V (Å³/atom) = 15.5

The structure in POSCAR format:
```
Sr6Li2Cr2N8O
1.0
6.211 0.000 0.000
2.354 6.454 0.000
1.957 0.370 7.335
Sr Li Cr N O
6 2 2 8 1
Cartesian
2.726 2.560 2.215
3.992 5.606 0.516
5.707 1.387 3.433
4.816 5.438 3.902
6.531 1.218 6.819
7.797 4.264 5.120
4.378 3.626 6.663
6.145 3.199 0.673
7.242 5.178 1.840
3.281 1.646 5.496
3.860 0.172 1.947
8.776 5.428 2.676
6.480 3.802 2.623
7.524 4.814 0.151
4.043 3.022 4.713
6.663 6.652 5.388
2.999 2.010 7.185
1.747 1.396 4.659
4.283 3.227 0.000
```